Below is an optimized crystal structure of Li4Mn3Fe3Sb2O16, with properties calculated at the PBE+U level.

Cell lengths 6.010, 6.010, 9.801 Å; angles 90.65, 90.65, 59.88 degrees
Positions (direct):
1 Li 0.000 0.000 0.000
2 Li 0.001 0.001 0.499
3 Li 0.332 0.332 0.582
4 Li 0.666 0.666 0.084
5 Mn 0.170 0.170 0.277
6 Mn 0.338 0.829 0.776
7 Mn 0.829 0.338 0.776
8 Fe 0.168 0.660 0.274
9 Fe 0.660 0.168 0.274
10 Fe 0.829 0.829 0.772
11 Sb 0.333 0.333 0.003
12 Sb 0.665 0.665 0.502
13 O 0.004 0.004 0.689
14 O 0.005 0.005 0.187
15 O 0.036 0.490 0.139
16 O 0.161 0.664 0.893
17 O 0.166 0.166 0.898
18 O 0.329 0.329 0.377
19 O 0.334 0.828 0.394
20 O 0.482 0.482 0.142
21 O 0.490 0.036 0.139
22 O 0.516 0.516 0.635
23 O 0.523 0.964 0.640
24 O 0.660 0.660 0.873
25 O 0.664 0.161 0.893
26 O 0.828 0.334 0.394
27 O 0.832 0.832 0.392
28 O 0.964 0.523 0.640

Results
- E (eV per atom) = -6.487
- formation energy from the elements (kJ/mol of formula units) = -5445